[1]
Density functional theory data (PBE-GGA) for LiAlSiH2O5 after structural relaxation.

Output
The calculation puts the polymorph energy (0 for the lowest one) at 1.18 eV per formula unit. The calculation puts the total magnetization at 0.00 μB per cell. The calculation puts the energy of formation at -2.501 eV/atom.

a = 11.6589 Å, b = 8.1819 Å, c = 5.3329 Å
α = 90.00°, β = 90.00°, γ = 90.00°
Sites, in units of the cell vectors:
Li (0.0913, 0.0229, 0.0000)
Li (0.4087, 0.5229, 0.5000)
Li (0.5913, 0.4771, 0.0000)
Li (0.9087, 0.9771, 0.5000)
Al (0.2127, 0.6569, 0.7839)
Al (0.2873, 0.1569, 0.2839)
Al (0.7127, 0.8431, 0.7839)
Al (0.7873, 0.3431, 0.2839)
Si (0.2070, 0.4352, 0.2627)
Si (0.2930, 0.9352, 0.7627)
Si (0.7070, 0.0648, 0.2627)
Si (0.7930, 0.5648, 0.7627)
H (0.0337, 0.7632, 0.2281)
H (0.0938, 0.8634, 0.4478)
H (0.4062, 0.3634, 0.9478)
H (0.4663, 0.2632, 0.7281)
H (0.5337, 0.7368, 0.2281)
H (0.5938, 0.6366, 0.4478)
H (0.9062, 0.1366, 0.9478)
H (0.9663, 0.2368, 0.7281)
O (0.0412, 0.8742, 0.2965)
O (0.1475, 0.2544, 0.3041)
O (0.1583, 0.5502, 0.0393)
O (0.1575, 0.8618, 0.7178)
O (0.2209, 0.5404, 0.5171)
O (0.2791, 0.0404, 0.0171)
O (0.3417, 0.0502, 0.5393)
O (0.3425, 0.3618, 0.2178)
O (0.3525, 0.7544, 0.8041)
O (0.4588, 0.3742, 0.7965)
O (0.5412, 0.6258, 0.2965)
O (0.6475, 0.2456, 0.3041)
O (0.6575, 0.6382, 0.7178)
O (0.6583, 0.9498, 0.0393)
O (0.7209, 0.9596, 0.5171)
O (0.7791, 0.4596, 0.0171)
O (0.8425, 0.1382, 0.2178)
O (0.8417, 0.4498, 0.5393)
O (0.8525, 0.7456, 0.8041)
O (0.9588, 0.1258, 0.7965)

---

[2]
Density functional theory data (PBE-GGA) for YMg6Bi after structural relaxation.

Output
The calculation puts the polymorph energy (0 for the lowest one) at 0.00 eV per formula unit. The calculation puts the total magnetization at 0.01 μB per cell. The calculation puts the energy of formation at -0.100 eV/atom.

a = 5.4061 Å, b = 6.3359 Å, c = 11.6862 Å
α = 90.00°, β = 90.00°, γ = 90.00°
Sites, in units of the cell vectors:
Mg (0.5000, 0.7520, 0.4177)
Mg (0.0000, 0.2526, 0.5769)
Mg (0.5000, 0.2480, 0.4177)
Mg (0.0000, 0.5000, 0.3381)
Mg (0.0000, 0.7474, 0.5769)
Mg (0.0000, 0.7526, 0.0769)
Mg (0.0000, 0.5000, 0.8358)
Mg (0.5000, 0.2520, 0.9177)
Mg (0.0000, 0.0000, 0.3358)
Mg (0.0000, 0.0000, 0.8381)
Mg (0.0000, 0.2474, 0.0769)
Mg (0.5000, 0.7480, 0.9177)
Bi (0.5000, 0.5000, 0.1668)
Bi (0.5000, 0.0000, 0.6668)
Y (0.5000, 0.0000, 0.1702)
Y (0.5000, 0.5000, 0.6702)

---

[3]
Density functional theory data (PBE-GGA) for Ba2SrTm6O12 after structural relaxation.

Output
The calculation puts the total magnetization at 0.00 μB per cell. The calculation puts the energy of formation at -3.726 eV/atom.

a = 10.3633 Å, b = 10.3633 Å, c = 3.4419 Å
α = 90.00°, β = 90.00°, γ = 120.00°
Sites, in units of the cell vectors:
Ba (0.0000, 0.0000, 0.0000)
Ba (0.3333, 0.6667, 0.7563)
Sr (0.6667, 0.3333, 0.5045)
Tm (0.3352, 0.3198, 0.4946)
Tm (0.3388, 0.0173, 0.0078)
Tm (0.6786, 0.6612, 0.0078)
Tm (0.6802, 0.0154, 0.4946)
Tm (0.9827, 0.3214, 0.0078)
Tm (0.9846, 0.6648, 0.4946)
O (0.0369, 0.4806, 0.5060)
O (0.1425, 0.7805, 0.9968)
O (0.2195, 0.3619, 0.9968)
O (0.2240, 0.0690, 0.5027)
O (0.4436, 0.9631, 0.5060)
O (0.4601, 0.2737, 0.0018)
O (0.5194, 0.5564, 0.5060)
O (0.6381, 0.8575, 0.9968)
O (0.7263, 0.1864, 0.0018)
O (0.8136, 0.5399, 0.0018)
O (0.8450, 0.7760, 0.5027)
O (0.9310, 0.1550, 0.5027)

---

[4]
Density functional theory data (PBE-GGA) for Pm3Sc after structural relaxation.

Output
The calculation puts the polymorph energy (0 for the lowest one) at 0.01 eV per formula unit. The calculation puts the energy of formation at 0.045 eV/atom.

a = 6.1715 Å, b = 6.1715 Å, c = 6.1715 Å
α = 131.76°, β = 131.76°, γ = 70.61°
Sites, in units of the cell vectors:
Pm (0.0000, 0.0000, 0.0000)
Pm (0.2500, 0.7500, 0.5000)
Pm (0.7500, 0.2500, 0.5000)
Sc (0.5000, 0.5000, 0.0000)

---

[5]
Density functional theory data (PBE-GGA) for CaGdHg2 after structural relaxation.

Output
The calculation puts the energy of formation at -0.537 eV/atom.

a = 5.3119 Å, b = 5.3119 Å, c = 5.3119 Å
α = 60.00°, β = 60.00°, γ = 60.00°
Sites, in units of the cell vectors:
Ca (0.0000, 0.0000, 0.0000)
Gd (0.5000, 0.5000, 0.5000)
Hg (0.2500, 0.2500, 0.2500)
Hg (0.7500, 0.7500, 0.7500)

---

[6]
Density functional theory data (PBE-GGA) for SiH after structural relaxation.

Output
The calculation puts the energy of formation at -0.054 eV/atom.

a = 3.8892 Å, b = 3.8892 Å, c = 5.7758 Å
α = 90.00°, β = 90.00°, γ = 120.00°
Sites, in units of the cell vectors:
Si (0.3333, 0.6667, 0.0623)
Si (0.6667, 0.3333, 0.9377)
H (0.3333, 0.6667, 0.3222)
H (0.6667, 0.3333, 0.6778)

---

[7]
Density functional theory data (PBE-GGA) for Gd2Zn6Ge3 after structural relaxation.

Output
The calculation puts the polymorph energy (0 for the lowest one) at 0.00 eV per formula unit. The calculation puts the energy of formation at -0.398 eV/atom.

a = 7.6316 Å, b = 7.6316 Å, c = 4.0531 Å
α = 90.00°, β = 90.00°, γ = 120.00°
Sites, in units of the cell vectors:
Gd (0.3333, 0.6667, 0.0000)
Gd (0.6667, 0.3333, 0.0000)
Zn (0.0000, 0.1909, 0.0000)
Zn (0.0000, 0.7141, 0.5000)
Zn (0.1909, 0.0000, 0.0000)
Zn (0.2859, 0.2859, 0.5000)
Zn (0.7141, 0.0000, 0.5000)
Zn (0.8091, 0.8091, 0.0000)
Ge (0.0000, 0.3870, 0.5000)
Ge (0.3870, 0.0000, 0.5000)
Ge (0.6130, 0.6130, 0.5000)

---

[8]
Density functional theory data (PBE-GGA) for NdFe5Co5Mo2 after structural relaxation.

Output
The calculation puts the total magnetization at 16.07 μB per cell. The calculation puts the energy of formation at -0.005 eV/atom.

a = 4.7254 Å, b = 6.5300 Å, c = 6.5311 Å
α = 82.46°, β = 69.40°, γ = 68.91°
Sites, in units of the cell vectors:
Nd (0.0000, 0.0000, 0.0000)
Fe (0.0002, 0.3557, 0.6409)
Fe (0.0000, 0.5000, 0.0000)
Fe (0.9998, 0.6443, 0.3591)
Fe (0.5000, 0.0000, 0.5000)
Fe (0.5000, 0.5000, 0.0000)
Co (0.0000, 0.0000, 0.5000)
Co (0.2709, 0.2284, 0.2294)
Co (0.4987, 0.2218, 0.7780)
Co (0.5013, 0.7782, 0.2220)
Co (0.7291, 0.7716, 0.7706)
Mo (0.3577, 0.6423, 0.6403)
Mo (0.6423, 0.3577, 0.3597)

---

[9]
Density functional theory data (PBE-GGA) for Cs3HoO3 after structural relaxation.

Output
The calculation puts the polymorph energy (0 for the lowest one) at 0.00 eV per formula unit. The calculation puts the energy of formation at -2.215 eV/atom.

a = 8.3237 Å, b = 7.6272 Å, c = 12.2846 Å
α = 90.00°, β = 95.26°, γ = 90.00°
Sites, in units of the cell vectors:
Cs (0.0633, 0.1199, 0.1552)
Cs (0.0633, 0.3801, 0.6552)
Cs (0.3545, 0.1690, 0.9218)
Cs (0.3545, 0.3310, 0.4218)
Cs (0.3773, 0.6918, 0.8083)
Cs (0.3773, 0.8082, 0.3083)
Cs (0.6227, 0.1918, 0.6917)
Cs (0.6227, 0.3082, 0.1917)
Cs (0.6454, 0.6690, 0.5782)
Cs (0.6454, 0.8310, 0.0782)
Cs (0.9367, 0.6199, 0.3448)
Cs (0.9367, 0.8801, 0.8448)
Ho (0.1578, 0.5865, 0.0658)
Ho (0.1578, 0.9135, 0.5658)
Ho (0.8422, 0.0865, 0.4342)
Ho (0.8422, 0.4135, 0.9342)
O (0.1008, 0.0518, 0.4105)
O (0.1008, 0.4482, 0.9105)
O (0.2467, 0.6549, 0.5430)
O (0.2467, 0.8451, 0.0430)
O (0.3047, 0.0574, 0.6840)
O (0.3047, 0.4426, 0.1840)
O (0.6953, 0.5574, 0.8160)
O (0.6953, 0.9426, 0.3160)
O (0.7533, 0.1549, 0.9570)
O (0.7533, 0.3451, 0.4570)
O (0.8992, 0.5518, 0.0895)
O (0.8992, 0.9482, 0.5895)

---

[10]
Density functional theory data (PBE-GGA) for Dy2Ni17 after structural relaxation.

Output
The calculation puts the energy of formation at -0.201 eV/atom.

a = 8.2281 Å, b = 8.2281 Å, c = 8.0391 Å
α = 90.00°, β = 90.00°, γ = 120.00°
Sites, in units of the cell vectors:
Dy (0.0000, 0.0000, 0.2500)
Dy (0.0000, 0.0000, 0.7500)
Dy (0.3333, 0.6667, 0.2500)
Dy (0.6667, 0.3333, 0.7500)
Ni (0.0000, 0.5000, 0.0000)
Ni (0.0000, 0.5000, 0.5000)
Ni (0.0416, 0.3697, 0.7500)
Ni (0.0416, 0.6719, 0.7500)
Ni (0.1656, 0.3312, 0.0197)
Ni (0.1656, 0.3312, 0.4803)
Ni (0.1656, 0.8344, 0.0197)
Ni (0.1656, 0.8344, 0.4803)
Ni (0.3281, 0.3697, 0.7500)
Ni (0.3281, 0.9584, 0.7500)
Ni (0.3312, 0.1656, 0.5197)
Ni (0.3312, 0.1656, 0.9803)
Ni (0.3333, 0.6667, 0.6023)
Ni (0.3333, 0.6667, 0.8977)
Ni (0.3697, 0.0416, 0.2500)
Ni (0.3697, 0.3281, 0.2500)
Ni (0.5000, 0.0000, 0.0000)
Ni (0.5000, 0.0000, 0.5000)
Ni (0.5000, 0.5000, 0.0000)
Ni (0.5000, 0.5000, 0.5000)
Ni (0.6303, 0.6719, 0.7500)
Ni (0.6303, 0.9584, 0.7500)
Ni (0.6667, 0.3333, 0.1023)
Ni (0.6667, 0.3333, 0.3977)
Ni (0.6688, 0.8344, 0.0197)
Ni (0.6688, 0.8344, 0.4803)
Ni (0.6719, 0.0416, 0.2500)
Ni (0.6719, 0.6303, 0.2500)
Ni (0.8344, 0.1656, 0.5197)
Ni (0.8344, 0.1656, 0.9803)
Ni (0.8344, 0.6688, 0.5197)
Ni (0.8344, 0.6688, 0.9803)
Ni (0.9584, 0.3281, 0.2500)
Ni (0.9584, 0.6303, 0.2500)

---

[11]
Density functional theory data (PBE-GGA) for Ba5NbIr4O15 after structural relaxation.

Output
The calculation puts the total magnetization at 0.00 μB per cell. The calculation puts the energy of formation at -2.298 eV/atom.

a = 10.1293 Å, b = 11.7997 Å, c = 13.1698 Å
α = 103.66°, β = 97.36°, γ = 106.62°
Sites, in units of the cell vectors:
Ba (0.0147, 0.3152, 0.4570)
Ba (0.0491, 0.9685, 0.3541)
Ba (0.1509, 0.4318, 0.0456)
Ba (0.1886, 0.0841, 0.9439)
Ba (0.2170, 0.7174, 0.8583)
Ba (0.2481, 0.3684, 0.7542)
Ba (0.3521, 0.8316, 0.4453)
Ba (0.3855, 0.4853, 0.3435)
Ba (0.4150, 0.1135, 0.2544)
Ba (0.4490, 0.7714, 0.1527)
Ba (0.5510, 0.2286, 0.8473)
Ba (0.5850, 0.8865, 0.7456)
Ba (0.6145, 0.5147, 0.6565)
Ba (0.6479, 0.1684, 0.5547)
Ba (0.7519, 0.6316, 0.2458)
Ba (0.7830, 0.2826, 0.1417)
Ba (0.8114, 0.9159, 0.0561)
Ba (0.8491, 0.5682, 0.9544)
Ba (0.9509, 0.0315, 0.6459)
Ba (0.9853, 0.6848, 0.5430)
Nb (0.1000, 0.2001, 0.2001)
Nb (0.3000, 0.6000, 0.5999)
Nb (0.7000, 0.4000, 0.4001)
Nb (0.9000, 0.7999, 0.7999)
Ir (0.0646, 0.5414, 0.3056)
Ir (0.1001, 0.7001, 0.2000)
Ir (0.1350, 0.8583, 0.0944)
Ir (0.2648, 0.9416, 0.7057)
Ir (0.3000, 0.1003, 0.6000)
Ir (0.3351, 0.2583, 0.4943)
Ir (0.4647, 0.3412, 0.1057)
Ir (0.5000, 0.0000, 0.0000)
Ir (0.5000, 0.5000, 0.0000)
Ir (0.5353, 0.6588, 0.8943)
Ir (0.6649, 0.7417, 0.5057)
Ir (0.7000, 0.8997, 0.4000)
Ir (0.7352, 0.0584, 0.2943)
Ir (0.8650, 0.1417, 0.9056)
Ir (0.8999, 0.2999, 0.8000)
Ir (0.9354, 0.4586, 0.6944)
O (0.0153, 0.8271, 0.9461)
O (0.0405, 0.2198, 0.8534)
O (0.0453, 0.4750, 0.8429)
O (0.0505, 0.7166, 0.3486)
O (0.0799, 0.8714, 0.7522)
O (0.0831, 0.3698, 0.2512)
O (0.1168, 0.0301, 0.1491)
O (0.1199, 0.5288, 0.6474)
O (0.1491, 0.6834, 0.0515)
O (0.1557, 0.9248, 0.5587)
O (0.1578, 0.1791, 0.5471)
O (0.1844, 0.5726, 0.4539)
O (0.2155, 0.2274, 0.3460)
O (0.2419, 0.6208, 0.2527)
O (0.2449, 0.8750, 0.2430)
O (0.2500, 0.1164, 0.7484)
O (0.2799, 0.2715, 0.1526)
O (0.2829, 0.7699, 0.6508)
O (0.3170, 0.4302, 0.5489)
O (0.3208, 0.9284, 0.0477)
O (0.3496, 0.0836, 0.4515)
O (0.3545, 0.3253, 0.9574)
O (0.3583, 0.5790, 0.9468)
O (0.3854, 0.9736, 0.8544)
O (0.4155, 0.6270, 0.7460)
O (0.4415, 0.0206, 0.6526)
O (0.4450, 0.2748, 0.6429)
O (0.4506, 0.5143, 0.1482)
O (0.4801, 0.6711, 0.5524)
O (0.4834, 0.1694, 0.0499)
O (0.5166, 0.8306, 0.9501)
O (0.5199, 0.3289, 0.4476)
O (0.5494, 0.4857, 0.8518)
O (0.5550, 0.7252, 0.3571)
O (0.5585, 0.9794, 0.3474)
O (0.5845, 0.3730, 0.2540)
O (0.6146, 0.0264, 0.1456)
O (0.6417, 0.4210, 0.0532)
O (0.6455, 0.6747, 0.0426)
O (0.6504, 0.9164, 0.5485)
O (0.6792, 0.0716, 0.9523)
O (0.6830, 0.5698, 0.4511)
O (0.7171, 0.2301, 0.3492)
O (0.7201, 0.7285, 0.8474)
O (0.7500, 0.8836, 0.2516)
O (0.7551, 0.1250, 0.7570)
O (0.7581, 0.3792, 0.7473)
O (0.7845, 0.7726, 0.6540)
O (0.8156, 0.4274, 0.5461)
O (0.8422, 0.8209, 0.4529)
O (0.8443, 0.0752, 0.4413)
O (0.8509, 0.3166, 0.9485)
O (0.8801, 0.4712, 0.3526)
O (0.8832, 0.9699, 0.8509)
O (0.9169, 0.6302, 0.7488)
O (0.9201, 0.1286, 0.2478)
O (0.9495, 0.2834, 0.6514)
O (0.9547, 0.5250, 0.1571)
O (0.9595, 0.7802, 0.1466)
O (0.9847, 0.1729, 0.0539)

---

Number 1: volume 12.7 Å³ per atom, VASP energy -6.4178 eV per atom. Number 2: volume 25.0 Å³ per atom, VASP energy -2.5947 eV per atom. Number 3: volume 15.2 Å³ per atom, VASP energy -7.7026 eV per atom. Number 4: volume 32.0 Å³ per atom, VASP energy -5.1015 eV per atom. Number 5: volume 26.5 Å³ per atom, VASP energy -4.7092 eV per atom. Number 6: volume 18.9 Å³ per atom, VASP energy -4.3734 eV per atom. Number 7: volume 18.6 Å³ per atom, VASP energy -4.9049 eV per atom. Number 8: volume 13.5 Å³ per atom, VASP energy -8.0323 eV per atom. Number 9: volume 27.7 Å³ per atom, VASP energy -5.0792 eV per atom. Number 10: volume 12.4 Å³ per atom, VASP energy -5.8576 eV per atom. Number 11: volume 14.3 Å³ per atom, VASP energy -7.0571 eV per atom.